# 1
Entry from Materials Project: crystalline ThSi2Ir2 at its relaxed geometry (r2SCAN).

Results
ΔE_f: -1.181 eV/atom
space-group type: P4/nmm, No. 129
M_tot: 0.01 μB/f.u.
DFT total energy: -403.3 eV/cell

Cell and atoms, written as POSCAR:
```
ThSi2Ir2
1.0
-2.5267 1.7634 2.8354
-2.9991 0.3646 -2.8992
-3.4749 -8.9493 2.4691
Th Ir Si
2 4 4
direct
0.0000 0.5000 0.2585 Th
0.5000 0.0000 0.7415 Th
0.0000 0.0000 0.0000 Ir
0.5000 0.5000 0.0000 Ir
0.5000 0.0000 0.3734 Ir
0.0000 0.5000 0.6266 Ir
0.0000 0.0000 0.5000 Si
0.0000 0.5000 0.8703 Si
0.5000 0.0000 0.1297 Si
0.5000 0.5000 0.5000 Si
```

---

# 2
Entry from Materials Project: crystalline Tm5Si10Ir4 at its relaxed geometry (r2SCAN).

Results
ΔE_f: -0.957 eV/atom
space-group type: P4/mbm, No. 127
M_tot: 0.00 μB/f.u.
DFT total energy: -981.9 eV/cell

Cell and atoms, written as POSCAR:
```
Tm5Si10Ir4
1.0
12.5267 0.0000 0.0000
0.0000 12.5267 0.0000
0.0000 0.0000 4.2097
Ir Tm Si
8 10 20
direct
0.7551 0.0198 0.0000 Ir
0.5198 0.2551 0.0000 Ir
0.4802 0.7449 0.0000 Ir
0.2449 0.9802 0.0000 Ir
0.7449 0.5198 0.0000 Ir
0.9802 0.7551 0.0000 Ir
0.0198 0.2449 0.0000 Ir
0.2551 0.4802 0.0000 Ir
0.3849 0.1151 0.5000 Tm
0.8255 0.6745 0.5000 Tm
0.8849 0.3849 0.5000 Tm
0.0000 0.0000 0.0000 Tm
0.6151 0.8849 0.5000 Tm
0.6745 0.1745 0.5000 Tm
0.1745 0.3255 0.5000 Tm
0.1151 0.6151 0.5000 Tm
0.5000 0.5000 0.0000 Tm
0.3255 0.8255 0.5000 Tm
0.4970 0.6559 0.5000 Si
0.5030 0.3441 0.5000 Si
0.6559 0.5030 0.5000 Si
0.3441 0.4970 0.5000 Si
0.1559 0.9970 0.5000 Si
0.9337 0.5663 0.0000 Si
0.5663 0.0663 0.0000 Si
0.1647 0.7986 0.0000 Si
0.7986 0.8353 0.0000 Si
0.6647 0.7014 0.0000 Si
0.7014 0.3353 0.0000 Si
0.9970 0.8441 0.5000 Si
0.8353 0.2014 0.0000 Si
0.8441 0.0030 0.5000 Si
0.0030 0.1559 0.5000 Si
0.2986 0.6647 0.0000 Si
0.3353 0.2986 0.0000 Si
0.2014 0.1647 0.0000 Si
0.4337 0.9337 0.0000 Si
0.0663 0.4337 0.0000 Si
```